(1)
SmTl2P2S7: optimized geometry, GGA-PBE.

The structure in CIF format:
```
data_SmTl2P2S7
_chemical_formula_sum 'Sm4 Tl8 P8 S28'
_cell_length_a 12.0344
_cell_length_b 12.0344
_cell_length_c 18.9784
_cell_angle_alpha 119.79
_cell_angle_beta 119.79
_cell_angle_gamma 32.78
_space_group_name_H-M_alt 'P 1'
_space_group_IT_number 1
loop_
_space_group_symop_operation_xyz
'x,y,z'
loop_
_atom_site_label
_atom_site_type_symbol
_atom_site_fract_x
_atom_site_fract_y
_atom_site_fract_z
_atom_site_occupancy
Sm1 Sm 0.1167 0.1929 0.2352 1
Sm2 Sm 0.1929 0.1167 0.7352 1
Sm3 Sm 0.8071 0.8833 0.2648 1
Sm4 Sm 0.8833 0.8071 0.7648 1
Tl1 Tl 0.1811 0.1836 0.0261 1
Tl2 Tl 0.1836 0.1811 0.5261 1
Tl3 Tl 0.4644 0.5135 0.1193 1
Tl4 Tl 0.4865 0.5356 0.3807 1
Tl5 Tl 0.5135 0.4644 0.6193 1
Tl6 Tl 0.5356 0.4865 0.8807 1
Tl7 Tl 0.8164 0.8189 0.4739 1
Tl8 Tl 0.8189 0.8164 0.9739 1
P1 P 0.0263 0.0704 0.3107 1
P2 P 0.0704 0.0263 0.8107 1
P3 P 0.3310 0.3353 0.8625 1
P4 P 0.3353 0.3310 0.3625 1
P5 P 0.6647 0.6690 0.6375 1
P6 P 0.6690 0.6647 0.1375 1
P7 P 0.9296 0.9737 0.1893 1
P8 P 0.9737 0.9296 0.6893 1
S1 S 0.0009 0.9624 0.6065 1
S2 S 0.0376 0.9991 0.8935 1
S3 S 0.1174 0.6803 0.1892 1
S4 S 0.1446 0.6392 0.3951 1
S5 S 0.1633 0.6336 0.9155 1
S6 S 0.1694 0.6315 0.6873 1
S7 S 0.2209 0.3384 0.7373 1
S8 S 0.2522 0.2792 0.4015 1
S9 S 0.2792 0.2522 0.9015 1
S10 S 0.3197 0.8826 0.3108 1
S11 S 0.3384 0.2209 0.2373 1
S12 S 0.3608 0.8554 0.1049 1
S13 S 0.3664 0.8367 0.5845 1
S14 S 0.3685 0.8306 0.8127 1
S15 S 0.6315 0.1694 0.1873 1
S16 S 0.6336 0.1633 0.4155 1
S17 S 0.6392 0.1446 0.8951 1
S18 S 0.6616 0.7791 0.7627 1
S19 S 0.6803 0.1174 0.6892 1
S20 S 0.7208 0.7478 0.0985 1
S21 S 0.7478 0.7208 0.5985 1
S22 S 0.7791 0.6616 0.2627 1
S23 S 0.8306 0.3685 0.3127 1
S24 S 0.8367 0.3664 0.0845 1
S25 S 0.8554 0.3608 0.6049 1
S26 S 0.8826 0.3197 0.8108 1
S27 S 0.9624 0.0009 0.1065 1
S28 S 0.9991 0.0376 0.3935 1
```

Calculated values
As for the energy relative to the elements: -1.047 eV/atom. The calculation puts the total energy at -4.855 eV per atom. The MP2020-corrected energy comes out at -5.15 eV per atom.

(2)
Y2FeSi2: optimized geometry, GGA-PBE.

The structure in CIF format:
```
data_Y2FeSi2
_chemical_formula_sum 'Y4 Fe2 Si4'
_cell_length_a 5.6791
_cell_length_b 5.6791
_cell_length_c 10.0171
_cell_angle_alpha 117.05
_cell_angle_beta 117.05
_cell_angle_gamma 42.96
_space_group_name_H-M_alt 'P 1'
_space_group_IT_number 1
loop_
_space_group_symop_operation_xyz
'x,y,z'
loop_
_atom_site_label
_atom_site_type_symbol
_atom_site_fract_x
_atom_site_fract_y
_atom_site_fract_z
_atom_site_occupancy
Y1 Y 0.0002 0.0002 0.1719 1
Y2 Y 0.9998 0.9998 0.8281 1
Y3 Y 0.1885 0.1885 0.6090 1
Y4 Y 0.8115 0.8115 0.3910 1
Fe1 Fe 0.2721 0.2721 0.1239 1
Fe2 Fe 0.7279 0.7279 0.8761 1
Si1 Si 0.3443 0.3443 0.9357 1
Si2 Si 0.4994 0.4994 0.6261 1
Si3 Si 0.5006 0.5006 0.3739 1
Si4 Si 0.6557 0.6557 0.0643 1
```

Calculated values
As for the energy relative to the elements: -0.683 eV/atom. The calculation puts the total energy at -7.162 eV per atom. The MP2020-corrected energy comes out at -7.13 eV per atom.

(3)
K3MoCl6: optimized geometry, GGA-PBE.

The structure in CIF format:
```
data_K3MoCl6
_chemical_formula_sum 'K12 Mo4 Cl24'
_cell_length_a 12.8925
_cell_length_b 7.6619
_cell_length_c 12.3423
_cell_angle_alpha 90.00
_cell_angle_beta 108.60
_cell_angle_gamma 90.00
_space_group_name_H-M_alt 'P 1'
_space_group_IT_number 1
loop_
_space_group_symop_operation_xyz
'x,y,z'
loop_
_atom_site_label
_atom_site_type_symbol
_atom_site_fract_x
_atom_site_fract_y
_atom_site_fract_z
_atom_site_occupancy
K1 K 0.0985 0.0345 0.3590 1
K2 K 0.0985 0.4655 0.8590 1
K3 K 0.3163 0.5673 0.2652 1
K4 K 0.3163 0.9327 0.7652 1
K5 K 0.3192 0.0668 0.1121 1
K6 K 0.3192 0.4332 0.6121 1
K7 K 0.6808 0.5668 0.3879 1
K8 K 0.6808 0.9332 0.8879 1
K9 K 0.6837 0.0673 0.2348 1
K10 K 0.6837 0.4327 0.7348 1
K11 K 0.9015 0.5345 0.1410 1
K12 K 0.9015 0.9655 0.6410 1
Mo1 Mo 0.0000 0.0000 0.0000 1
Mo2 Mo 0.0000 0.5000 0.5000 1
Mo3 Mo 0.5000 0.0000 0.5000 1
Mo4 Mo 0.5000 0.5000 0.0000 1
Cl1 Cl 0.0954 0.2307 0.5946 1
Cl2 Cl 0.0954 0.2693 0.0946 1
Cl3 Cl 0.1160 0.5024 0.3761 1
Cl4 Cl 0.1160 0.9976 0.8761 1
Cl5 Cl 0.1307 0.6804 0.6459 1
Cl6 Cl 0.1307 0.8196 0.1459 1
Cl7 Cl 0.3516 0.6994 0.0055 1
Cl8 Cl 0.3516 0.8006 0.5055 1
Cl9 Cl 0.3547 0.2070 0.3958 1
Cl10 Cl 0.3547 0.2930 0.8958 1
Cl11 Cl 0.4999 0.1332 0.6833 1
Cl12 Cl 0.4999 0.3668 0.1833 1
Cl13 Cl 0.5001 0.6332 0.8167 1
Cl14 Cl 0.5001 0.8668 0.3167 1
Cl15 Cl 0.6453 0.7070 0.1042 1
Cl16 Cl 0.6453 0.7930 0.6042 1
Cl17 Cl 0.6484 0.1994 0.4945 1
Cl18 Cl 0.6484 0.3006 0.9945 1
Cl19 Cl 0.8693 0.1804 0.8541 1
Cl20 Cl 0.8693 0.3196 0.3541 1
Cl21 Cl 0.8840 0.0024 0.1239 1
Cl22 Cl 0.8840 0.4976 0.6239 1
Cl23 Cl 0.9046 0.7307 0.9054 1
Cl24 Cl 0.9046 0.7693 0.4054 1
```

Calculated values
As for the energy relative to the elements: -1.910 eV/atom. The calculation puts the total energy at -4.068 eV per atom. The calculation puts the energy above the lowest structure with this stoichiometry at 0 meV/atom. The MP2020-corrected energy comes out at -4.44 eV per atom.

(4)
NdGaPt: optimized geometry, GGA-PBE.

The structure in CIF format:
```
data_NdGaPt
_chemical_formula_sum 'Nd4 Ga4 Pt4'
_cell_length_a 7.1603
_cell_length_b 4.5220
_cell_length_c 7.9041
_cell_angle_alpha 90.00
_cell_angle_beta 90.00
_cell_angle_gamma 90.00
_space_group_name_H-M_alt 'P 1'
_space_group_IT_number 1
loop_
_space_group_symop_operation_xyz
'x,y,z'
loop_
_atom_site_label
_atom_site_type_symbol
_atom_site_fract_x
_atom_site_fract_y
_atom_site_fract_z
_atom_site_occupancy
Nd1 Nd 0.0266 0.2500 0.1862 1
Nd2 Nd 0.4734 0.7500 0.6862 1
Nd3 Nd 0.5266 0.2500 0.3138 1
Nd4 Nd 0.9734 0.7500 0.8138 1
Ga1 Ga 0.1529 0.2500 0.5669 1
Ga2 Ga 0.3471 0.7500 0.0669 1
Ga3 Ga 0.6529 0.2500 0.9331 1
Ga4 Ga 0.8471 0.7500 0.4331 1
Pt1 Pt 0.2197 0.7500 0.3887 1
Pt2 Pt 0.2803 0.2500 0.8887 1
Pt3 Pt 0.7197 0.7500 0.1113 1
Pt4 Pt 0.7803 0.2500 0.6113 1
```

Calculated values
As for the energy relative to the elements: -1.020 eV/atom. The calculation puts the total energy at -5.643 eV per atom.

These records have calculated density values of 4.4; 5.0; 2.4; 10.6 g/cm³, in the order they appear.